Entry 1:
# PBE Zr5NiSb3, optimized geometry
# Formation energy in eV/atom: -0.775
# E (MP2020) in eV/atom: -7.54
# Energy in eV per cell: -134.606
data_Zr5NiSb3
_chemical_formula_sum 'Zr10 Ni2 Sb6'
_space_group_name_H-M_alt 'P 63/m c m'
_space_group_IT_number 193
_space_group_name_Hall '-P 6c 2'
_cell_length_a 8.5816
_cell_length_b 8.5816
_cell_length_c 5.7939
_cell_angle_alpha 90.00
_cell_angle_beta 90.00
_cell_angle_gamma 120.00
loop_
_atom_site_label
_atom_site_type_symbol
_atom_site_fract_x
_atom_site_fract_y
_atom_site_fract_z
Zr1 Zr 0.0000 0.2578 0.2500
Zr2 Zr 0.3333 0.6667 0.0000
Ni1 Ni 0.0000 0.0000 0.0000
Sb1 Sb 0.0000 0.3874 0.7500



Entry 2:
# PBE Eu3Au2, optimized geometry
# Formation energy in eV/atom: -0.710
# Energy in eV per cell: -367.837
data_Eu3Au2
_chemical_formula_sum 'Eu27 Au18'
_space_group_name_H-M_alt 'R -3'
_space_group_IT_number 148
_space_group_name_Hall '-R 3'
_cell_length_a 9.3989
_cell_length_b 9.3989
_cell_length_c 18.1794
_cell_angle_alpha 90.00
_cell_angle_beta 90.00
_cell_angle_gamma 120.00
loop_
_atom_site_label
_atom_site_type_symbol
_atom_site_fract_x
_atom_site_fract_y
_atom_site_fract_z
Eu1 Eu 0.0000 0.0000 0.0000
Eu2 Eu 0.0000 0.0000 0.2021
Eu3 Eu 0.0064 0.7526 0.5933
Au1 Au 0.0224 0.4104 0.5689